1.
The following is a GGA-PBE calculation of a relaxed SiO2 crystal, from the Materials Project database.

Values from the calculation:
Energy of formation from the pure elements ... -2.844 eV/atom
Magnetic moment ... 0.00 μB per cell
V ... 12.30 A^3/atom

a = 4.3181 Å, b = 4.2807 Å, c = 8.0033 Å
α = 90.00°, β = 93.62°, γ = 90.00°
Closest atoms and distances in Å follow each position.
Fractional coordinates of all 12 atoms:
Si: 0.0529 0.0000 0.3059  4 O 1.62-1.70
Si: 0.3622 0.5952 0.8212  4 O 1.60-1.68
Si: 0.6378 0.5952 0.1788  4 O 1.60-1.68
Si: 0.9471 0.0000 0.6941  4 O 1.62-1.70
O: 0.0000 0.9196 0.5000  2 Si 1.62
O: 0.1233 0.8659 0.8650  2 Si 1.60-1.63
O: 0.1279 0.3532 0.7086  2 Si 1.67-1.70
O: 0.3912 0.8074 0.2866  2 Si 1.68-1.69
O: 0.5000 0.4432 0.0000  2 Si 1.65
O: 0.6088 0.8074 0.7134  2 Si 1.68-1.69
O: 0.8721 0.3532 0.2914  2 Si 1.67-1.70
O: 0.8767 0.8659 0.1350  2 Si 1.60-1.63

=====

2.
The following is a GGA-PBE calculation of a relaxed ZrMn6Sn6 crystal, from the Materials Project database.

Values from the calculation:
Energy of formation from the pure elements ... -0.107 eV/atom
V ... 17.51 A^3/atom

a = 5.4096 Å, b = 5.4096 Å, c = 8.9821 Å
α = 90.00°, β = 90.00°, γ = 120.00°
Closest atoms and distances in Å follow each position.
Fractional coordinates of all 13 atoms:
Zr: 0.0000 0.0000 0.0000  8 Sn 2.94-3.12
Mn: 0.0000 0.5000 0.2475  4 Mn 2.70, 6 Sn 2.72-2.80
Mn: 0.0000 0.5000 0.7525  4 Mn 2.70, 6 Sn 2.72-2.80
Mn: 0.5000 0.0000 0.2475  4 Mn 2.70, 6 Sn 2.72-2.80
Mn: 0.5000 0.0000 0.7525  4 Mn 2.70, 6 Sn 2.72-2.80
Mn: 0.5000 0.5000 0.2475  4 Mn 2.70, 6 Sn 2.72-2.80
Mn: 0.5000 0.5000 0.7525  4 Mn 2.70, 6 Sn 2.72-2.80
Sn: 0.0000 0.0000 0.3275  6 Mn 2.80, 1 Zr 2.94, 1 Sn 3.10
Sn: 0.0000 0.0000 0.6725  6 Mn 2.80, 1 Zr 2.94, 1 Sn 3.10
Sn: 0.3333 0.6667 0.0000  6 Mn 2.72
Sn: 0.3333 0.6667 0.5000  6 Mn 2.75
Sn: 0.6667 0.3333 0.0000  6 Mn 2.72
Sn: 0.6667 0.3333 0.5000  6 Mn 2.75

=====

3.
The following is a GGA-PBE calculation of a relaxed GaP crystal, from the Materials Project database.

Values from the calculation:
Energy of formation from the pure elements ... 0.072 eV/atom
Magnetic moment ... 0.00 μB per cell
V ... 16.79 A^3/atom

a = 3.7078 Å, b = 3.7078 Å, c = 3.7078 Å
α = 101.19°, β = 96.20°, γ = 134.27°
Closest atoms and distances in Å follow each position.
Fractional coordinates of all 2 atoms:
Ga: 0.0000 0.0000 0.0000  4 P 2.52-2.54
P: 0.3330 0.8330 0.5000  4 Ga 2.52-2.54

=====

4.
The following is a GGA-PBE calculation of a relaxed Ca6Mg5Al2Si11O36 crystal, from the Materials Project database.

Values from the calculation:
Energy of formation from the pure elements ... -3.358 eV/atom
Magnetic moment ... 0.00 μB per cell
V ... 11.26 A^3/atom

a = 6.6505 Å, b = 6.6548 Å, c = 15.9713 Å
α = 78.01°, β = 78.21°, γ = 84.43°
Closest atoms and distances in Å follow each position.
Fractional coordinates of all 60 atoms:
Ca: 0.0000 0.0000 0.0000  5 O 2.32-2.51
Ca: 0.0008 0.9974 0.6683  5 O 2.32-2.48
Ca: 0.5967 0.3935 0.5002  6 O 2.34-2.60
Ca: 0.6004 0.3894 0.8349  6 O 2.36-2.61
Ca: 0.6027 0.3981 0.1648  5 O 2.34-2.57
Ca: 0.9982 0.9966 0.3329  6 O 2.34-2.59
Mg: 0.2063 0.7889 0.4997  6 O 2.06-2.15
Mg: 0.2082 0.7869 0.1664  6 O 2.06-2.14
Mg: 0.3916 0.6041 0.3328  6 O 2.06-2.15
Mg: 0.3918 0.6039 0.9979  6 O 2.05-2.15
Mg: 0.3933 0.6010 0.6662  6 O 2.06-2.18
Al: 0.2143 0.7876 0.8321  5 O 1.86-1.99
Al: 0.6895 0.8831 0.8412  4 O 1.76-1.82
Si: 0.1064 0.3160 0.4940  4 O 1.61-1.70
Si: 0.1079 0.3176 0.1601  4 O 1.60-1.71
Si: 0.1113 0.3116 0.8255  4 O 1.62-1.69
Si: 0.4923 0.0765 0.3387  4 O 1.60-1.71
Si: 0.4943 0.0755 0.0071  4 O 1.61-1.70
Si: 0.4977 0.0760 0.6750  4 O 1.61-1.71
Si: 0.6775 0.8891 0.5056  4 O 1.61-1.71
Si: 0.6795 0.8902 0.1733  4 O 1.61-1.70
Si: 0.9194 0.5032 0.3273  4 O 1.60-1.71
Si: 0.9210 0.5039 0.6602  4 O 1.61-1.71
Si: 0.9244 0.5042 0.9902  4 O 1.60-1.70
O: 0.0953 0.6686 0.2970  1 Si 1.62
O: 0.0970 0.6690 0.6303  1 Si 1.62
O: 0.0999 0.6735 0.9564  1 Si 1.63
O: 0.1822 0.0821 0.1904  1 Si 1.60
O: 0.1878 0.0826 0.5251  1 Si 1.61
O: 0.1920 0.0736 0.8538  1 Si 1.62
O: 0.2713 0.4929 0.4631  1 Si 1.62
O: 0.2709 0.4955 0.7985  1 Si 1.63
O: 0.2743 0.4927 0.1299  1 Si 1.62
O: 0.3268 0.9004 0.3687  1 Si 1.62
O: 0.3297 0.8963 0.0368  1 Si 1.63
O: 0.3320 0.8933 0.7101  1 Si 1.65
O: 0.4002 0.3058 0.9767  1 Si 1.61
O: 0.4031 0.3051 0.6430  1 Si 1.61
O: 0.4130 0.3100 0.3066  1 Si 1.60
O: 0.4789 0.7241 0.8662  2 Al 1.77-1.93
O: 0.5025 0.7226 0.5361  1 Si 1.62
O: 0.5043 0.7236 0.2025  1 Si 1.62
O: 0.6260 0.0726 0.0880  2 Si 1.70
O: 0.6297 0.0666 0.4172  2 Si 1.68-1.71
O: 0.6467 0.0722 0.7457  1 Si 1.64, 1 Al 1.82
O: 0.6623 0.0290 0.5832  2 Si 1.68-1.71
O: 0.6726 0.0260 0.2519  2 Si 1.68-1.71
O: 0.6772 0.0325 0.9237  1 Si 1.66, 1 Al 1.79
O: 0.6856 0.5825 0.3582  1 Si 1.60
O: 0.6870 0.5819 0.6920  1 Si 1.61
O: 0.6890 0.5819 0.0178  1 Si 1.60
O: 0.9121 0.8081 0.1401  1 Si 1.61
O: 0.9117 0.8104 0.4751  1 Si 1.61
O: 0.9313 0.3655 0.2486  2 Si 1.69-1.71
O: 0.9305 0.3656 0.5821  2 Si 1.69-1.70
O: 0.9417 0.3554 0.9155  2 Si 1.68-1.69
O: 0.9488 0.8051 0.8089  2 Al 1.76-1.86
O: 0.9674 0.3259 0.4158  2 Si 1.69-1.71
O: 0.9686 0.3362 0.0812  2 Si 1.69-1.70
O: 0.9718 0.3272 0.7485  2 Si 1.67-1.71